Compound: Cu4H24C13N7Cl
Source: Materials Project
Functional: PBE
Structure: optimized geometry

Final energy (eV/atom): -5.7084
Crystal system: monoclinic
Calculated volume (Å³/f.u.): 507.7

a b c (Å): 11.689 17.306 10.076
angles (deg): 90.00 94.92 90.00
Space group Cc (No. 9)
Asymmetric unit:
Cu 0.000 0.124 0.000 (multiplicity 4)
Cu 0.001 0.126 0.754 (multiplicity 4)
Cu 0.102 0.347 0.294 (multiplicity 4)
Cu 0.399 0.153 0.958 (multiplicity 4)
H 0.101 0.307 0.871 (multiplicity 4)
H 0.110 0.399 0.959 (multiplicity 4)
H 0.116 0.468 0.738 (multiplicity 4)
H 0.120 0.379 0.644 (multiplicity 4)
H 0.134 0.034 0.428 (multiplicity 4)
H 0.134 0.152 0.544 (multiplicity 4)
H 0.147 0.083 0.273 (multiplicity 4)
H 0.149 0.209 0.398 (multiplicity 4)
H 0.213 0.324 0.999 (multiplicity 4)
H 0.236 0.447 0.644 (multiplicity 4)
H 0.248 0.281 0.713 (multiplicity 4)
H 0.250 0.489 0.921 (multiplicity 4)
H 0.251 0.011 0.330 (multiplicity 4)
H 0.252 0.219 0.539 (multiplicity 4)
H 0.265 0.053 0.607 (multiplicity 4)
H 0.288 0.176 0.253 (multiplicity 4)
H 0.352 0.291 0.854 (multiplicity 4)
H 0.354 0.417 0.979 (multiplicity 4)
H 0.367 0.348 0.707 (multiplicity 4)
H 0.367 0.466 0.823 (multiplicity 4)
H 0.381 0.121 0.607 (multiplicity 4)
H 0.385 0.032 0.513 (multiplicity 4)
H 0.391 0.101 0.292 (multiplicity 4)
H 0.400 0.193 0.381 (multiplicity 4)
C 0.002 0.030 0.097 (multiplicity 4)
C 0.044 0.270 0.181 (multiplicity 4)
C 0.141 0.132 0.881 (multiplicity 4)
C 0.157 0.351 0.919 (multiplicity 4)
C 0.170 0.422 0.703 (multiplicity 4)
C 0.194 0.057 0.360 (multiplicity 4)
C 0.195 0.179 0.481 (multiplicity 4)
C 0.306 0.321 0.770 (multiplicity 4)
C 0.307 0.443 0.892 (multiplicity 4)
C 0.331 0.078 0.548 (multiplicity 4)
C 0.344 0.149 0.333 (multiplicity 4)
C 0.360 0.368 0.372 (multiplicity 4)
C 0.457 0.230 0.071 (multiplicity 4)
N 0.021 0.217 0.109 (multiplicity 4)
N 0.234 0.384 0.821 (multiplicity 4)
N 0.243 0.135 0.900 (multiplicity 4)
N 0.258 0.365 0.351 (multiplicity 4)
N 0.267 0.116 0.431 (multiplicity 4)
N 0.480 0.283 0.141 (multiplicity 4)
N 0.498 0.470 0.154 (multiplicity 4)
Cl 0.001 0.451 0.376 (multiplicity 4)

Compound: CuH8C2NCl3
Source: Materials Project
Functional: PBE
Structure: optimized geometry

Final energy (eV/atom): -4.6065
Crystal system: triclinic
Calculated volume (Å³/f.u.): 185.5

a b c (Å): 8.597 9.713 10.676
angles (deg): 73.36 68.69 64.78
Space group P-1 (No. 2)
Asymmetric unit:
Cu 0.079 0.151 0.429 (multiplicity 2)
Cu 0.146 0.356 0.087 (multiplicity 2)
H 0.069 0.695 0.271 (multiplicity 2)
H 0.095 0.070 0.812 (multiplicity 2)
H 0.184 0.979 0.955 (multiplicity 2)
H 0.213 0.769 0.296 (multiplicity 2)
H 0.217 0.867 0.834 (multiplicity 2)
H 0.222 0.517 0.431 (multiplicity 2)
H 0.264 0.248 0.760 (multiplicity 2)
H 0.280 0.684 0.147 (multiplicity 2)
H 0.295 0.441 0.289 (multiplicity 2)
H 0.378 0.142 0.889 (multiplicity 2)
H 0.394 0.009 0.665 (multiplicity 2)
H 0.438 0.494 0.786 (multiplicity 2)
H 0.459 0.622 0.628 (multiplicity 2)
H 0.481 0.913 0.795 (multiplicity 2)
H 0.485 0.577 0.372 (multiplicity 2)
H 0.496 0.835 0.286 (multiplicity 2)
C 0.206 0.979 0.848 (multiplicity 2)
C 0.209 0.680 0.255 (multiplicity 2)
C 0.380 0.151 0.784 (multiplicity 2)
C 0.485 0.495 0.321 (multiplicity 2)
N 0.296 0.526 0.329 (multiplicity 2)
N 0.375 0.006 0.767 (multiplicity 2)
Cl 0.052 0.588 0.645 (multiplicity 2)
Cl 0.083 0.617 0.992 (multiplicity 2)
Cl 0.189 0.888 0.520 (multiplicity 2)
Cl 0.197 0.100 0.173 (multiplicity 2)
Cl 0.297 0.186 0.475 (multiplicity 2)
Cl 0.421 0.332 0.083 (multiplicity 2)

Compound: CuH8C2NCl3
Source: Materials Project
Functional: PBE
Structure: optimized geometry

Final energy (eV/atom): -4.6059
Crystal system: monoclinic
Calculated volume (Å³/f.u.): 194.5

a b c (Å): 17.830 8.773 12.149
angles (deg): 90.00 125.03 90.00
Space group C2/c (No. 15)
Asymmetric unit:
Cu 0.035 0.116 0.421 (multiplicity 8)
H 0.082 0.469 0.190 (multiplicity 8)
H 0.102 0.336 0.837 (multiplicity 8)
H 0.138 0.405 0.343 (multiplicity 8)
H 0.162 0.287 0.766 (multiplicity 8)
H 0.190 0.310 0.208 (multiplicity 8)
H 0.220 0.110 0.634 (multiplicity 8)
H 0.223 0.360 0.935 (multiplicity 8)
H 0.232 0.497 0.214 (multiplicity 8)
C 0.160 0.365 0.834 (multiplicity 8)
C 0.218 0.415 0.267 (multiplicity 8)
N 0.146 0.477 0.282 (multiplicity 8)
Cl 0.049 0.135 0.987 (multiplicity 8)
Cl 0.065 0.371 0.452 (multiplicity 8)
Cl 0.120 0.083 0.339 (multiplicity 8)

Compound: CuH20C6N2Cl4
Source: Materials Project
Functional: PBE
Structure: optimized geometry

Final energy (eV/atom): -4.8826
Crystal system: monoclinic
Calculated volume (Å³/f.u.): 413.7

a b c (Å): 8.542 14.802 13.221
angles (deg): 90.00 98.14 90.00
Space group P2_1/c (No. 14)
Asymmetric unit:
Cu 0.222 0.101 0.270 (multiplicity 4)
H 0.006 0.661 0.620 (multiplicity 4)
H 0.012 0.610 0.793 (multiplicity 4)
H 0.077 0.011 0.844 (multiplicity 4)
H 0.125 0.689 0.972 (multiplicity 4)
H 0.132 0.030 0.676 (multiplicity 4)
H 0.145 0.121 0.979 (multiplicity 4)
H 0.189 0.146 0.706 (multiplicity 4)
H 0.194 0.200 0.884 (multiplicity 4)
H 0.203 0.582 0.020 (multiplicity 4)
H 0.210 0.679 0.104 (multiplicity 4)
H 0.301 0.693 0.433 (multiplicity 4)
H 0.310 0.666 0.839 (multiplicity 4)
H 0.333 0.526 0.311 (multiplicity 4)
H 0.342 0.020 0.938 (multiplicity 4)
H 0.377 0.691 0.568 (multiplicity 4)
H 0.386 0.565 0.904 (multiplicity 4)
H 0.394 0.089 0.836 (multiplicity 4)
H 0.461 0.658 0.056 (multiplicity 4)
H 0.482 0.157 0.617 (multiplicity 4)
H 0.490 0.204 0.026 (multiplicity 4)
C 0.112 0.090 0.722 (multiplicity 4)
C 0.119 0.143 0.899 (multiplicity 4)
C 0.217 0.656 0.026 (multiplicity 4)
C 0.318 0.034 0.856 (multiplicity 4)
C 0.392 0.719 0.493 (multiplicity 4)
C 0.399 0.639 0.898 (multiplicity 4)
N 0.150 0.066 0.832 (multiplicity 4)
N 0.374 0.681 0.997 (multiplicity 4)
Cl 0.035 0.638 0.284 (multiplicity 4)
Cl 0.223 0.107 0.441 (multiplicity 4)
Cl 0.236 0.505 0.647 (multiplicity 4)
Cl 0.464 0.166 0.272 (multiplicity 4)